Below is CePd5 after structural relaxation, with properties calculated at the GGA-PBE level.

Computed properties:
Uncorrected energy (eV per cell): -34.92
Space group: P6/mmm, No. 191
Formation enthalpy at 0 K (meV/atom): -514

Cell: 5.333 5.333 4.526 Å, 90.00 90.00 120.00°
Sites, in units of the cell vectors:
Ce  0.000  0.000  0.000
Pd  0.000  0.500  0.500
Pd  0.333  0.667  0.000
Pd  0.500  0.000  0.500
Pd  0.500  0.500  0.500
Pd  0.667  0.333  0.000